Entry from the Materials Project database: crystalline Na3Mn2P2C2O14 at its relaxed geometry (GGA+U). Values from VASP.

```
&SYSTEM
  ibrav = 0, nat = 46, ntyp = 5
/
ATOMIC_SPECIES
C 12.01 C.upf
O 16.00 O.upf
P 30.97 P.upf
Mn 54.94 Mn.upf
Na 22.99 Na.upf
ATOMIC_POSITIONS angstrom
C 1.329 0.500 11.518
O 3.647 0.483 1.578
O 0.525 5.044 8.241
O 0.148 1.070 11.485
P 3.551 5.078 4.926
O 0.182 1.231 4.895
C 1.368 0.637 4.927
O 4.347 3.738 4.925
O 3.614 0.330 8.210
O 1.000 2.840 9.472
O 2.343 1.550 4.932
O 2.579 7.387 1.692
O 3.871 5.842 10.346
O 4.690 7.552 8.271
O 1.225 8.300 11.588
O 1.258 8.453 4.956
O 3.911 5.952 6.142
C 3.504 8.146 8.239
Mn 3.870 5.722 8.234
O 4.725 7.713 1.681
O 2.034 4.712 4.999
Na 1.011 6.699 6.341
O 2.868 4.184 1.630
O 3.817 5.834 12.813
Mn 1.002 3.061 4.931
O 2.839 4.071 8.167
P 3.539 4.956 11.559
O 2.293 1.396 11.473
C 3.544 8.283 1.648
O 0.962 2.831 7.024
O 1.001 2.941 2.820
Na 1.022 6.714 9.951
Mn 3.901 5.868 1.721
Na 3.850 2.069 3.215
P 1.333 3.827 1.607
Na 3.822 1.884 13.141
O 2.004 4.599 11.536
O 1.056 2.949 0.353
O 2.530 7.233 8.233
O 3.873 5.942 3.693
Na 3.862 2.084 6.825
Na 1.050 6.899 0.025
P 1.322 3.705 8.240
Mn 0.972 2.915 11.444
O 0.515 5.137 1.575
O 4.357 3.646 11.591
CELL_PARAMETERS angstrom
5.227 0.000 0.000
-0.296 9.028 0.000
-0.058 -0.245 13.166
```

- volume (Å³/cell) = 621
- relative energy among the computed polymorphs (meV/atom) = 6
- SG = P-1 (2)
- mass density (g/cm3) = 2.6
- M_tot (μB per cell) = 14.00

Entry from the Materials Project database: crystalline Li3Fe7O12 at its relaxed geometry (GGA+U). Values from VASP.

```
&SYSTEM
  ibrav = 0, nat = 22, ntyp = 3
/
ATOMIC_SPECIES
Fe 55.84 Fe.upf
O 16.00 O.upf
Li 6.94 Li.upf
ATOMIC_POSITIONS angstrom
Fe -0.635 -0.811 2.413
Fe 2.343 3.991 8.098
O -1.492 5.378 5.307
Fe 1.932 0.391 3.138
O 0.782 4.998 3.667
O 3.357 5.311 7.083
Li -0.479 0.763 4.846
Li 2.232 5.261 5.408
O 1.069 3.659 6.319
O -1.790 0.728 3.188
Fe 2.121 2.201 5.612
Fe -2.928 0.682 1.519
O 0.797 0.334 1.515
Fe -0.307 3.783 4.665
O 0.611 -0.730 4.034
O -1.626 3.819 3.047
O 1.282 5.479 8.866
O 1.089 6.895 6.108
Fe -2.733 5.363 3.720
O -1.512 2.644 5.618
O 0.983 2.170 4.051
Li 1.858 -2.436 3.385
CELL_PARAMETERS angstrom
-4.779 1.888 0.797
2.450 -2.821 3.616
2.923 7.713 5.389
```

- volume (Å³/cell) = 223
- SG = C2 (5)
- mass density (g/cm3) = 4.5
- electronic total energy (eV/atom) = -6.29
- M_tot (μB per cell) = 35.00

Entry from the Materials Project database: crystalline Sr4PrMn5O15 at its relaxed geometry (GGA+U). Values from VASP.

```
&SYSTEM
  ibrav = 0, nat = 25, ntyp = 4
/
ATOMIC_SPECIES
O 16.00 O.upf
Mn 54.94 Mn.upf
Sr 87.62 Sr.upf
Pr 140.91 Pr.upf
ATOMIC_POSITIONS angstrom
O -0.217 -2.971 -3.165
Mn -2.948 -5.614 -5.275
Mn -1.333 -8.109 -0.647
O -1.894 -9.797 -1.456
Sr -1.605 -5.139 -2.222
Mn -4.025 -9.043 -6.770
Mn -0.271 -4.687 0.816
O -2.996 -7.359 -1.353
O -4.553 -10.769 -7.492
O -4.817 -9.472 -5.033
Pr -2.679 -8.576 -3.708
O -3.780 -6.137 -3.599
O -0.540 -7.680 -2.384
Sr -0.540 -1.718 -0.751
O -3.464 -7.355 -5.961
O -2.731 -2.642 -2.110
Mn -5.087 -12.465 -8.233
O -1.578 -11.015 -3.818
Sr -3.752 -12.013 -5.195
O -4.035 -10.693 -2.787
O -2.361 -9.793 -6.064
O -0.804 -6.383 0.075
O -1.322 -6.459 -4.630
O 0.269 -2.962 1.566
Sr -4.817 -15.434 -6.666
CELL_PARAMETERS angstrom
-5.463 -5.285 -4.220
-0.434 -5.943 -6.330
0.539 -5.925 3.133
```

- volume (Å³/cell) = 293
- SG = C2/m (12)
- mass density (g/cm3) = 5.7
- electronic total energy (eV/atom) = -7.08
- M_tot (μB per cell) = 16.00

Entry from the Materials Project database: crystalline NaLi5Fe2P2C2O14 at its relaxed geometry (GGA+U). Values from VASP.

```
&SYSTEM
  ibrav = 0, nat = 52, ntyp = 6
/
ATOMIC_SPECIES
C 12.01 C.upf
Fe 55.84 Fe.upf
O 16.00 O.upf
Li 6.94 Li.upf
P 30.97 P.upf
Na 22.99 Na.upf
ATOMIC_POSITIONS angstrom
C 1.696 8.693 6.528
Fe 1.690 6.090 6.141
C 4.979 0.611 3.560
O 6.186 5.969 0.835
O 6.176 6.448 5.999
O 5.204 7.928 3.244
O 1.678 1.083 1.707
O 3.749 5.991 1.003
C 1.736 8.385 1.428
Li 6.482 6.473 3.811
Li 0.192 2.831 6.278
Li 1.556 1.430 8.860
P 1.680 4.154 8.657
O 2.925 3.313 9.086
C 4.938 0.919 8.660
O 5.126 4.099 5.943
O 1.726 7.799 7.485
Li 5.159 8.285 6.315
O 4.996 8.221 8.381
O 0.498 2.856 4.089
P 4.994 5.150 1.432
Li 0.192 2.460 1.236
Fe 4.985 3.214 3.948
Li 5.118 7.873 1.229
O 4.944 1.358 9.881
O 4.931 3.696 0.907
Fe 4.977 3.542 9.041
O 3.732 6.265 6.054
O 1.730 7.946 0.208
Li 6.482 6.844 8.852
O 1.548 5.205 4.146
P 5.018 5.528 6.515
O 5.040 5.470 8.081
O 0.488 3.334 9.253
O 1.562 4.189 7.104
O 1.470 1.375 6.844
P 1.656 3.775 3.573
Li 3.485 6.885 8.821
O 5.113 5.115 2.984
Na 3.308 2.655 6.338
O 1.668 7.524 2.408
O 1.743 5.608 9.181
Li 1.516 1.019 3.773
O 4.948 1.505 2.604
O 2.942 3.038 4.034
O 1.761 8.301 5.290
Fe 1.697 5.762 1.047
O 4.913 1.002 4.799
Na 3.366 6.649 3.750
O 5.006 1.780 7.681
O 1.635 3.834 2.008
Li 3.190 2.419 1.267
CELL_PARAMETERS angstrom
6.536 0.000 0.000
0.124 8.568 0.000
0.015 0.736 10.089
```

- volume (Å³/cell) = 565
- relative energy among the computed polymorphs (meV/atom) = 2
- SG = P-1 (2)
- mass density (g/cm3) = 2.8
- M_tot (μB per cell) = 16.00

Entry from the Materials Project database: crystalline SbW2O8 at its relaxed geometry (GGA+U). Values from VASP.

```
&SYSTEM
  ibrav = 0, nat = 11, ntyp = 3
/
ATOMIC_SPECIES
O 16.00 O.upf
Sb 121.76 Sb.upf
W 183.84 W.upf
ATOMIC_POSITIONS angstrom
O 4.415 2.707 1.206
Sb -0.641 2.528 -0.002
W 0.110 0.499 2.661
O -0.794 1.744 3.802
W 3.511 3.952 2.347
O 4.981 0.586 3.456
O 1.538 0.166 3.569
O 2.083 4.286 1.439
O -1.360 3.866 1.553
O 0.741 1.568 1.272
O 2.880 2.883 3.736
CELL_PARAMETERS angstrom
-1.283 5.055 -0.004
-1.487 -1.906 5.065
6.391 1.303 -0.053
```

- volume (Å³/cell) = 172
- relative energy among the computed polymorphs (meV/atom) = 71
- SG = P-1 (2)
- mass density (g/cm3) = 6.0
- M_tot (μB per cell) = 0.00

Entry from the Materials Project database: crystalline FePH5CO4 at its relaxed geometry (GGA+U). Values from VASP.

```
&SYSTEM
  ibrav = 0, nat = 48, ntyp = 5
/
ATOMIC_SPECIES
O 16.00 O.upf
H 1.01 H.upf
C 12.01 C.upf
P 30.97 P.upf
Fe 55.84 Fe.upf
ATOMIC_POSITIONS angstrom
O -9.233 -1.229 -2.312
O -8.028 -2.390 0.072
O -1.942 -2.813 0.367
H -7.826 -0.435 -0.653
C -5.596 -2.672 1.241
H -5.718 -5.399 -5.296
C -5.901 -5.360 -6.377
H -2.001 -2.007 -0.194
H -6.731 -1.594 -3.909
O -3.389 -4.322 -6.731
H -6.277 -0.419 -6.549
O -4.321 0.397 -8.631
O -2.853 0.210 -4.012
H -9.460 -4.404 -5.347
O -7.890 -3.754 2.261
H -5.368 -3.579 0.667
H -6.404 -4.420 -6.632
P -7.377 -2.512 1.449
P -4.063 0.311 -7.132
Fe -9.027 -5.362 1.544
H -6.578 -2.521 -2.381
C -4.184 0.206 -1.646
P -8.842 -2.484 -3.172
O -7.661 -1.280 2.372
C -7.052 -2.495 -3.370
H -4.005 0.181 -0.563
H -8.055 -2.385 -7.010
Fe -10.214 0.489 -2.965
Fe -2.875 -2.616 -7.940
O -3.357 -1.018 -6.693
H -5.011 -4.667 -2.019
H -3.530 -3.411 -4.857
H -6.749 -3.381 -3.942
Fe -1.405 -2.734 -3.315
O -3.395 -2.653 -4.244
H -3.473 -1.845 -4.801
H -2.096 -3.568 -0.247
H -9.512 -0.138 -5.553
P -2.869 -5.576 -2.626
O -1.782 -1.049 -2.035
O -9.122 0.464 -4.871
O -9.495 -2.493 -4.551
O -7.925 -5.341 -0.355
H -5.205 -1.800 0.702
H -4.770 -0.672 -1.942
O -9.250 -3.718 -2.294
H -8.240 -4.660 -1.000
O -2.047 -4.338 -2.124
CELL_PARAMETERS angstrom
-0.267 -5.781 -0.118
-8.647 0.336 2.750
-2.934 0.348 -9.238
```

- volume (Å³/cell) = 510
- relative energy among the computed polymorphs (meV/atom) = 0
- SG = P1 (1)
- mass density (g/cm3) = 2.2
- M_tot (μB per cell) = 16.00

Entry from the Materials Project database: crystalline CeNiAsO at its relaxed geometry (GGA+U). Values from VASP.

```
&SYSTEM
  ibrav = 0, nat = 8, ntyp = 4
/
ATOMIC_SPECIES
O 16.00 O.upf
Ce 140.12 Ce.upf
Ni 58.69 Ni.upf
As 74.92 As.upf
ATOMIC_POSITIONS angstrom
O -2.534 0.019 -1.279
Ce -2.814 -5.942 2.338
Ni -3.730 -2.947 1.046
As -3.292 -2.899 3.330
As -1.633 -3.013 0.041
Ni -1.196 -2.966 2.325
Ce -2.111 0.030 1.034
O 0.000 0.000 0.000
CELL_PARAMETERS angstrom
-3.482 1.896 0.628
-1.586 -1.858 -3.186
-2.391 -5.931 4.651
```

- volume (Å³/cell) = 127
- SG = P4/nmm (129)
- mass density (g/cm3) = 7.6
- electronic total energy (eV/atom) = -6.09
- M_tot (μB per cell) = 0.47

Entry from the Materials Project database: crystalline Ba2Cr3O7 at its relaxed geometry (GGA+U). Values from VASP.

```
&SYSTEM
  ibrav = 0, nat = 12, ntyp = 3
/
ATOMIC_SPECIES
Cr 52.00 Cr.upf
Ba 137.33 Ba.upf
O 16.00 O.upf
ATOMIC_POSITIONS angstrom
Cr -2.427 0.122 0.982
Ba -1.898 3.290 2.379
Cr -4.933 5.289 3.070
Cr -6.175 4.081 8.929
O -0.753 0.807 1.582
O -5.039 2.886 6.516
O -3.564 1.328 3.389
O -4.403 4.663 9.322
O -2.812 1.799 0.174
Ba -3.898 5.402 6.619
O -6.426 5.616 7.837
O -3.200 5.871 3.597
CELL_PARAMETERS angstrom
-0.637 3.213 -1.901
-3.444 -1.270 -0.992
-5.151 5.440 10.922
```

- volume (Å³/cell) = 191
- SG = Pmm2 (25)
- mass density (g/cm3) = 4.7
- electronic total energy (eV/atom) = -6.86
- M_tot (μB per cell) = 8.00

Entry from the Materials Project database: crystalline Li2PWO6 at its relaxed geometry (GGA+U). Values from VASP.

```
&SYSTEM
  ibrav = 0, nat = 40, ntyp = 4
/
ATOMIC_SPECIES
O 16.00 O.upf
Li 6.94 Li.upf
W 183.84 W.upf
P 30.97 P.upf
ATOMIC_POSITIONS angstrom
O -0.784 11.304 4.230
Li 3.001 10.374 6.315
O 1.161 2.237 0.899
Li -3.001 9.397 2.858
W 0.037 11.402 6.024
W 0.037 5.070 4.348
O 0.784 4.191 2.685
O 1.549 4.008 5.234
P 3.157 5.290 0.271
Li -3.001 5.121 0.600
O -1.161 3.214 4.357
O -0.981 5.620 0.718
O 1.632 9.459 3.429
O -3.573 7.728 3.680
W -0.037 4.093 0.891
O -1.549 11.487 1.681
W -0.037 10.425 2.566
O -1.632 10.437 6.886
O 3.573 6.751 0.223
O 3.573 7.767 3.234
O 1.161 12.281 2.558
Li 4.954 7.259 1.729
O 0.981 6.597 4.176
P -3.157 6.267 3.728
O 1.549 12.464 5.138
O -1.632 6.035 3.486
Li 3.001 6.098 4.057
P -3.157 10.205 6.644
Li 0.936 8.236 5.186
Li -0.936 7.259 1.729
O 0.981 9.875 6.197
O -3.573 8.744 6.692
O -0.981 8.898 2.739
O 0.784 10.326 0.773
O -1.549 3.031 1.776
Li -4.954 8.236 5.186
P 3.157 9.227 3.187
O -0.784 5.168 6.142
O -1.161 13.258 6.015
O 1.632 5.058 0.028
CELL_PARAMETERS angstrom
5.056 6.770 0.000
-5.056 6.770 0.000
0.000 1.954 6.915
```

- volume (Å³/cell) = 473
- SG = C2/c (15)
- mass density (g/cm3) = 4.6
- electronic total energy (eV/atom) = -6.81
- M_tot (μB per cell) = 4.00

Entry from the Materials Project database: crystalline Li3Mn28O56 at its relaxed geometry (GGA+U). Values from VASP.

```
&SYSTEM
  ibrav = 0, nat = 87, ntyp = 3
/
ATOMIC_SPECIES
Mn 54.94 Mn.upf
O 16.00 O.upf
Li 6.94 Li.upf
ATOMIC_POSITIONS angstrom
Mn 7.581 -7.319 8.482
O 10.998 -7.330 13.852
O 6.132 -8.126 9.511
Mn 11.517 -10.574 8.389
Mn 8.238 -13.117 5.441
O 5.222 -3.525 7.526
O 4.587 -4.056 10.310
Mn 5.280 0.469 10.177
O 3.733 -1.444 6.037
O 6.417 -0.555 6.851
O 10.105 -2.795 11.809
Mn 12.557 -6.795 12.738
Mn 8.678 -4.679 7.889
O 11.669 -6.812 10.998
Mn 8.614 -3.550 12.851
Mn 7.554 -6.199 13.429
O 2.066 -6.099 4.791
O 1.386 -1.178 2.915
Mn 6.548 -11.106 4.103
Mn 3.159 -6.001 6.402
O 6.623 -7.115 6.791
Mn 12.033 -8.679 10.559
Mn 4.279 -4.424 0.854
Mn 7.633 -8.447 3.522
Li 6.531 -7.040 0.588
O 9.141 -5.416 12.618
O 7.920 -8.071 12.986
O 9.048 -6.538 7.444
O 9.409 -13.250 7.004
O 7.169 -4.335 13.887
O 2.669 -5.255 1.676
O 7.082 -5.453 8.714
O 7.576 -4.773 6.279
Mn 7.021 -8.085 11.255
Mn 8.150 -6.545 5.709
O 3.211 -9.664 3.648
O 10.266 -3.889 7.070
Mn 9.194 -2.777 10.076
O 6.258 0.247 11.848
O 3.274 -3.103 4.103
O 13.147 -8.602 12.143
O 4.314 0.690 8.490
O 6.523 -8.514 1.911
O 9.988 -11.117 9.458
O 8.722 -8.359 5.162
O 7.269 -6.576 3.964
O 10.602 -10.586 6.630
Mn 2.566 -1.304 4.465
O 7.749 -5.596 1.228
Mn 8.732 -5.787 2.942
O 10.938 -8.787 8.934
Mn 4.242 -3.320 5.797
O 3.914 -2.521 1.312
O 5.791 -1.422 9.920
Mn 5.304 -0.652 5.212
O 3.530 -7.854 5.963
Mn 10.966 -11.338 11.145
Li 6.427 -2.067 8.156
O 4.252 -5.872 8.021
Mn 11.430 -4.000 8.619
O 8.550 -7.543 10.162
O 7.540 -11.307 5.813
Li 8.746 -9.869 6.452
O 10.457 -9.454 11.386
Mn 5.915 -5.339 7.150
O 5.437 -10.097 7.443
Mn 6.961 -1.546 11.521
O 6.048 -9.241 4.340
O 11.917 -11.563 12.835
O 8.266 -2.796 8.338
O 6.446 -6.319 11.819
O 12.600 -4.111 10.219
Mn 9.283 -9.325 9.818
O 7.084 -12.972 3.878
O 5.700 -2.518 4.779
O 5.382 -4.315 2.463
O 8.093 -9.211 8.217
O 9.678 -5.992 4.624
Mn 4.797 -2.543 3.037
O 4.749 -5.200 5.590
Mn 4.867 -9.115 2.790
O 4.167 -7.323 3.129
Mn 2.649 -7.877 4.214
O 9.778 -4.553 9.500
O 7.664 -3.324 11.160
O 8.009 -10.313 3.082
O 8.614 -0.998 10.641
CELL_PARAMETERS angstrom
1.188 -9.341 3.851
7.844 -6.475 -0.214
5.427 3.573 11.407
```

- volume (Å³/cell) = 1003
- SG = C2 (5)
- mass density (g/cm3) = 4.1
- electronic total energy (eV/atom) = -7.05
- M_tot (μB per cell) = 87.00